Density functional theory data (GGA+U) for crystalline Al4Co3O12 at its relaxed geometry.

Distance to the lowest polymorph of the same formula: 0.0134 eV/atom

a = 9.868 Å, b = 5.745 Å, c = 13.967 Å
α = 90.00°, β = 90.38°, γ = 90.00°
Space group C2/m (No. 12)
Symmetry-distinct sites (fractional):
Al1 0.000 0.000 0.000
Al2 0.000 0.500 0.500
Al3 0.082 0.247 0.670
Al4 0.250 0.250 0.000
Co1 0.000 0.500 0.123
Co2 0.163 0.000 0.459
Co3 0.167 0.000 0.213
O1 0.005 0.000 0.739
O2 0.013 0.500 0.746
O3 0.069 0.259 0.419
O4 0.084 0.244 0.927
O5 0.150 0.500 0.588
O6 0.154 0.000 0.592
O7 0.167 0.000 0.071
O8 0.172 0.500 0.073
O9 0.244 0.263 0.746

---

Density functional theory data (GGA+U) for crystalline GdTlMo2O8 at its relaxed geometry.

Calculated total energy: -7.847 eV per atom

a = 5.191 Å, b = 18.811 Å, c = 8.252 Å
α = 90.00°, β = 90.00°, γ = 90.00°
Space group Pbcn (No. 60)
Symmetry-distinct sites (fractional):
Gd1 0.000 0.007 0.250
Tl1 0.000 0.230 0.750
Mo1 0.022 0.399 0.016
O1 0.102 0.313 0.476
O2 0.228 0.401 0.841
O3 0.241 0.409 0.188
O4 0.249 0.464 0.504